A plane-wave DFT calculation with GGA-PBE was carried out for an optimized crystal structure of SrCa2I6.

Unit cell a=7.564 b=7.564 c=14.386 alpha=90.00 beta=90.00 gamma=90.00
Fractional positions:
I 0.701 0.701 0.672
I 0.299 0.299 0.328
Sr 0.000 0.000 0.000
Ca 0.500 0.500 0.833
I 0.201 0.799 0.828
Sr 0.500 0.500 0.500
I 0.799 0.201 0.828
Ca 0.000 0.000 0.667
I 0.299 0.299 0.672
I 0.201 0.799 0.172
I 0.809 0.191 0.500
I 0.191 0.809 0.500
I 0.309 0.309 0.000
Ca 0.000 0.000 0.333
I 0.701 0.701 0.328
Ca 0.500 0.500 0.167
I 0.691 0.691 0.000
I 0.799 0.201 0.172

Electronic total energy: -3.276 eV per atom
ΔE_f: -1.88 eV/atom